{"formula": "Th2NiC2", "functional": "PBE", "state": "relaxed", "cell": [[-3.307, -4.455, 3.767], [-5.776, 0.255, 3.399], [3.233, 1.245, -5.743]], "species": ["Ni", "C", "C", "Th", "Th"], "fractional_positions": [[0.000, 0.000, 0.000], [0.156, 0.156, 0.000], [0.844, 0.844, 0.000], [0.646, 0.646, 0.000], [0.354, 0.354, 0.000]], "final_energy_ev_per_atom": -8.194}